1.
Compound: Yb2TlGa
Source: the Materials Project database
Functional: meta-GGA r2SCAN
Structure: optimized geometry

Computed properties:
ρ, kg/m3: 10979
E_form, eV per atom: -0.4648
Crystal system: cubic
Calculated volume, Å³ per atom: 23.5
Total magnetic moment, μB/f.u.: 0.00
SG: No. 225

Cell lengths 7.213, 7.213, 7.213 Å; angles 90.00, 90.00, 90.00 degrees
Atoms (fractional coordinates):
Yb: 0.250 0.250 0.250
Yb: 0.250 0.250 0.750
Yb: 0.250 0.750 0.250
Yb: 0.250 0.750 0.750
Yb: 0.750 0.250 0.250
Yb: 0.750 0.250 0.750
Yb: 0.750 0.750 0.250
Yb: 0.750 0.750 0.750
Tl: 0.000 0.000 0.000
Tl: 0.000 0.500 0.500
Tl: 0.500 0.000 0.500
Tl: 0.500 0.500 0.000
Ga: 0.000 0.000 0.500
Ga: 0.000 0.500 0.000
Ga: 0.500 0.000 0.000
Ga: 0.500 0.500 0.500



2.
Compound: MnSiO3
Source: the Materials Project database
Functional: meta-GGA r2SCAN
Structure: optimized geometry

Computed properties:
ρ, kg/m3: 3768
E_form, eV per atom: -2.6476
Crystal system: monoclinic
Calculated volume, Å³ per atom: 11.5
Total magnetic moment, μB/f.u.: 0.00
SG: No. 15

Cell lengths 6.776, 6.776, 5.342 Å; angles 103.98, 103.98, 86.51 degrees
Atoms (fractional coordinates):
Mn: 0.104 0.896 0.750
Mn: 0.251 0.749 0.250
Mn: 0.749 0.251 0.750
Mn: 0.896 0.104 0.250
Si: 0.215 0.384 0.768
Si: 0.384 0.215 0.268
Si: 0.616 0.785 0.732
Si: 0.785 0.616 0.232
O: 0.038 0.212 0.660
O: 0.137 0.613 0.864
O: 0.212 0.038 0.160
O: 0.333 0.375 0.531
O: 0.375 0.333 0.031
O: 0.387 0.863 0.636
O: 0.613 0.137 0.364
O: 0.625 0.667 0.969
O: 0.667 0.625 0.469
O: 0.788 0.962 0.840
O: 0.863 0.387 0.136
O: 0.962 0.788 0.340



3.
Compound: LaMgAu2
Source: the Materials Project database
Functional: meta-GGA r2SCAN
Structure: optimized geometry

Computed properties:
ρ, kg/m3: 10074
E_form, eV per atom: -0.7666
Crystal system: cubic
Calculated volume, Å³ per atom: 23.0
Total magnetic moment, μB/f.u.: 0.00
SG: No. 225

Cell lengths 7.162, 7.162, 7.162 Å; angles 90.00, 90.00, 90.00 degrees
Atoms (fractional coordinates):
La: 0.000 0.000 0.000
La: 0.000 0.500 0.500
La: 0.500 0.000 0.500
La: 0.500 0.500 0.000
Mg: 0.000 0.000 0.500
Mg: 0.000 0.500 0.000
Mg: 0.500 0.000 0.000
Mg: 0.500 0.500 0.500
Au: 0.250 0.250 0.250
Au: 0.250 0.250 0.750
Au: 0.250 0.750 0.250
Au: 0.250 0.750 0.750
Au: 0.750 0.250 0.250
Au: 0.750 0.250 0.750
Au: 0.750 0.750 0.250
Au: 0.750 0.750 0.750



4.
Compound: Pr2Ir2O7
Source: the Materials Project database
Functional: meta-GGA r2SCAN
Structure: optimized geometry

Computed properties:
ρ, kg/m3: 9032
E_form, eV per atom: -2.1724
Crystal system: cubic
Calculated volume, Å³ per atom: 13.0
Total magnetic moment, μB/f.u.: 2.00
SG: No. 227

Cell lengths 7.397, 7.397, 7.397 Å; angles 60.00, 60.00, 60.00 degrees
Atoms (fractional coordinates):
Pr: 0.000 0.000 0.000
Pr: 0.000 0.000 0.500
Pr: 0.000 0.500 0.000
Pr: 0.500 0.000 0.000
Ir: 0.000 0.500 0.500
Ir: 0.500 0.000 0.500
Ir: 0.500 0.500 0.000
Ir: 0.500 0.500 0.500
O: 0.125 0.125 0.125
O: 0.169 0.169 0.581
O: 0.169 0.581 0.169
O: 0.169 0.581 0.581
O: 0.419 0.419 0.831
O: 0.419 0.831 0.419
O: 0.419 0.831 0.831
O: 0.581 0.169 0.169
O: 0.581 0.169 0.581
O: 0.581 0.581 0.169
O: 0.831 0.419 0.419
O: 0.831 0.419 0.831
O: 0.831 0.831 0.419
O: 0.875 0.875 0.875



5.
Compound: U4Si6Tc7
Source: the Materials Project database
Functional: meta-GGA r2SCAN
Structure: optimized geometry

Computed properties:
ρ, kg/m3: 10888
E_form, eV per atom: -0.6143
Crystal system: cubic
Calculated volume, Å³ per atom: 16.2
Total magnetic moment, μB/f.u.: 2.97
SG: No. 229

Cell lengths 7.100, 7.100, 7.100 Å; angles 109.47, 109.47, 109.47 degrees
Atoms (fractional coordinates):
U: 0.000 0.000 0.500
U: 0.000 0.500 0.000
U: 0.500 0.000 0.000
U: 0.500 0.500 0.500
Si: 0.000 0.312 0.312
Si: 0.000 0.688 0.688
Si: 0.312 0.000 0.312
Si: 0.312 0.312 0.000
Si: 0.688 0.000 0.688
Si: 0.688 0.688 0.000
Tc: 0.000 0.000 0.000
Tc: 0.250 0.500 0.750
Tc: 0.250 0.750 0.500
Tc: 0.500 0.250 0.750
Tc: 0.500 0.750 0.250
Tc: 0.750 0.250 0.500
Tc: 0.750 0.500 0.250



6.
Compound: Lu3Ga5Co
Source: the Materials Project database
Functional: meta-GGA r2SCAN
Structure: optimized geometry

Computed properties:
ρ, kg/m3: 9591
E_form, eV per atom: -0.6654
Crystal system: hexagonal
Calculated volume, Å³ per atom: 17.9
Total magnetic moment, μB/f.u.: 0.00
SG: No. 189

Cell lengths 6.737, 6.737, 4.107 Å; angles 90.00, 90.00, 120.00 degrees
Atoms (fractional coordinates):
Lu: 0.000 0.596 0.000
Lu: 0.404 0.404 0.000
Lu: 0.596 0.000 0.000
Ga: 0.000 0.233 0.500
Ga: 0.233 0.000 0.500
Ga: 0.333 0.667 0.500
Ga: 0.667 0.333 0.500
Ga: 0.767 0.767 0.500
Co: 0.000 0.000 0.000



7.
Compound: Mn2F7
Source: the Materials Project database
Functional: meta-GGA r2SCAN
Structure: optimized geometry

Computed properties:
ρ, kg/m3: 3520
E_form, eV per atom: -2.6468
Crystal system: monoclinic
Calculated volume, Å³ per atom: 12.7
Total magnetic moment, μB/f.u.: 0.00
SG: No. 4

Cell lengths 7.186, 5.000, 12.863 Å; angles 90.00, 97.52, 90.00 degrees
Atoms (fractional coordinates):
Mn: 0.026 0.000 0.110
Mn: 0.080 0.519 0.321
Mn: 0.419 0.019 0.678
Mn: 0.472 0.502 0.891
Mn: 0.528 0.002 0.109
Mn: 0.581 0.519 0.322
Mn: 0.920 0.019 0.679
Mn: 0.974 0.500 0.890
F: 0.006 0.221 0.237
F: 0.048 0.779 0.978
F: 0.061 0.346 0.433
F: 0.101 0.694 0.187
F: 0.148 0.817 0.381
F: 0.174 0.129 0.695
F: 0.225 0.376 0.899
F: 0.277 0.116 0.113
F: 0.330 0.406 0.320
F: 0.345 0.831 0.571
F: 0.388 0.728 0.766
F: 0.441 0.775 0.981
F: 0.455 0.308 0.611
F: 0.492 0.705 0.192
F: 0.508 0.205 0.808
F: 0.545 0.808 0.389
F: 0.559 0.275 0.019
F: 0.612 0.228 0.234
F: 0.655 0.331 0.429
F: 0.670 0.906 0.680
F: 0.723 0.616 0.887
F: 0.775 0.876 0.101
F: 0.826 0.629 0.305
F: 0.852 0.317 0.619
F: 0.899 0.194 0.813
F: 0.939 0.846 0.567
F: 0.952 0.279 0.022
F: 0.994 0.721 0.763



8.
Compound: EuGaAu
Source: the Materials Project database
Functional: meta-GGA r2SCAN
Structure: optimized geometry

Computed properties:
ρ, kg/m3: 10187
E_form, eV per atom: -0.7574
Crystal system: monoclinic
Calculated volume, Å³ per atom: 22.7
Total magnetic moment, μB/f.u.: 7.12
SG: No. 12

Cell lengths 10.643, 4.622, 7.589 Å; angles 90.00, 133.02, 90.00 degrees
Atoms (fractional coordinates):
Eu: 0.046 0.000 0.308
Eu: 0.454 0.500 0.692
Eu: 0.546 0.500 0.308
Eu: 0.954 0.000 0.692
Ga: 0.159 0.500 0.101
Ga: 0.341 0.000 0.899
Ga: 0.659 0.000 0.101
Ga: 0.841 0.500 0.899
Au: 0.180 0.500 0.733
Au: 0.320 0.000 0.267
Au: 0.680 0.000 0.733
Au: 0.820 0.500 0.267



9.
Compound: Cs4Fe2O5
Source: the Materials Project database
Functional: meta-GGA r2SCAN
Structure: optimized geometry

Computed properties:
ρ, kg/m3: 4807
E_form, eV per atom: -1.6114
Crystal system: monoclinic
Calculated volume, Å³ per atom: 22.7
Total magnetic moment, μB/f.u.: 10.00
SG: No. 15

Cell lengths 9.819, 9.819, 7.712 Å; angles 96.27, 96.27, 135.43 degrees
Atoms (fractional coordinates):
Cs: 0.018 0.982 0.750
Cs: 0.166 0.524 0.384
Cs: 0.464 0.536 0.750
Cs: 0.476 0.834 0.116
Cs: 0.524 0.166 0.884
Cs: 0.536 0.464 0.250
Cs: 0.834 0.476 0.616
Cs: 0.982 0.018 0.250
Fe: 0.007 0.693 0.097
Fe: 0.307 0.993 0.403
Fe: 0.693 0.007 0.597
Fe: 0.993 0.307 0.903
O: 0.000 0.500 0.000
O: 0.030 0.729 0.356
O: 0.198 0.359 0.033
O: 0.271 0.970 0.144
O: 0.359 0.198 0.533
O: 0.500 0.000 0.500
O: 0.641 0.802 0.467
O: 0.729 0.030 0.856
O: 0.802 0.641 0.967
O: 0.970 0.271 0.644



10.
Compound: Er2CrS4
Source: the Materials Project database
Functional: meta-GGA r2SCAN
Structure: optimized geometry

Computed properties:
ρ, kg/m3: 5897
E_form, eV per atom: -1.9224
Crystal system: orthorhombic
Calculated volume, Å³ per atom: 20.7
Total magnetic moment, μB/f.u.: 3.99
SG: No. 29

Cell lengths 12.479, 7.446, 12.480 Å; angles 90.00, 90.00, 90.00 degrees
Atoms (fractional coordinates):
Er: 0.108 0.114 0.000
Er: 0.129 0.615 0.639
Er: 0.134 0.866 0.304
Er: 0.135 0.366 0.307
Er: 0.365 0.366 0.807
Er: 0.366 0.866 0.804
Er: 0.371 0.615 0.139
Er: 0.392 0.114 0.500
Er: 0.608 0.886 0.000
Er: 0.629 0.385 0.639
Er: 0.634 0.134 0.304
Er: 0.635 0.634 0.307
Er: 0.865 0.634 0.807
Er: 0.866 0.134 0.804
Er: 0.871 0.385 0.139
Er: 0.892 0.886 0.500
Cr: 0.110 0.617 0.007
Cr: 0.127 0.117 0.636
Cr: 0.373 0.117 0.136
Cr: 0.390 0.617 0.507
Cr: 0.610 0.383 0.007
Cr: 0.627 0.883 0.636
Cr: 0.873 0.883 0.136
Cr: 0.890 0.383 0.507
S: 0.009 0.117 0.192
S: 0.026 0.619 0.183
S: 0.029 0.615 0.445
S: 0.050 0.118 0.452
S: 0.210 0.115 0.813
S: 0.212 0.617 0.836
S: 0.226 0.856 0.085
S: 0.238 0.352 0.091
S: 0.262 0.352 0.591
S: 0.274 0.856 0.585
S: 0.288 0.617 0.336
S: 0.290 0.115 0.313
S: 0.450 0.118 0.952
S: 0.471 0.615 0.945
S: 0.474 0.619 0.683
S: 0.491 0.117 0.692
S: 0.509 0.883 0.192
S: 0.526 0.381 0.183
S: 0.529 0.385 0.445
S: 0.550 0.882 0.452
S: 0.710 0.885 0.813
S: 0.712 0.383 0.836
S: 0.726 0.144 0.085
S: 0.738 0.648 0.091
S: 0.762 0.648 0.591
S: 0.774 0.144 0.585
S: 0.788 0.383 0.336
S: 0.790 0.885 0.313
S: 0.950 0.882 0.952
S: 0.971 0.385 0.945
S: 0.974 0.381 0.683
S: 0.991 0.883 0.692



11.
Compound: Ba4Pt3O9
Source: the Materials Project database
Functional: meta-GGA r2SCAN
Structure: optimized geometry

Computed properties:
ρ, kg/m3: 8213
E_form, eV per atom: -1.8885
Crystal system: triclinic
Calculated volume, Å³ per atom: 16.2
Total magnetic moment, μB/f.u.: 0.00
SG: No. 1

Cell lengths 8.656, 10.118, 10.170 Å; angles 119.47, 90.03, 90.04 degrees
Atoms (fractional coordinates):
Ba: 0.000 0.000 0.000
Ba: 0.000 0.349 0.703
Ba: 0.002 0.634 0.353
Ba: 0.248 0.311 0.335
Ba: 0.248 0.670 0.041
Ba: 0.253 0.018 0.682
Ba: 0.497 0.998 0.012
Ba: 0.500 0.325 0.678
Ba: 0.504 0.654 0.349
Ba: 0.749 0.320 0.365
Ba: 0.751 0.988 0.674
Ba: 0.752 0.694 0.016
Pt: 0.096 0.329 0.009
Pt: 0.243 0.729 0.749
Pt: 0.338 0.991 0.339
Pt: 0.419 0.328 0.007
Pt: 0.581 0.650 0.672
Pt: 0.660 0.992 0.340
Pt: 0.757 0.403 0.086
Pt: 0.905 0.652 0.676
Pt: 0.999 0.993 0.420
O: 0.022 0.474 0.512
O: 0.056 0.668 0.836
O: 0.060 0.798 0.669
O: 0.182 0.845 0.348
O: 0.186 0.143 0.491
O: 0.225 0.991 0.167
O: 0.256 0.180 0.004
O: 0.257 0.345 0.867
O: 0.259 0.481 0.173
O: 0.424 0.791 0.662
O: 0.428 0.657 0.826
O: 0.469 0.476 0.506
O: 0.498 0.139 0.344
O: 0.500 0.842 0.195
O: 0.501 0.986 0.493
O: 0.531 0.162 0.834
O: 0.574 0.319 0.149
O: 0.574 0.482 0.015
O: 0.743 0.510 0.691
O: 0.743 0.815 0.823
O: 0.745 0.649 0.525
O: 0.774 0.002 0.172
O: 0.812 0.139 0.497
O: 0.817 0.843 0.344
O: 0.942 0.321 0.154
O: 0.943 0.489 0.023
O: 0.978 0.164 0.836



12.
Compound: Eu3Ga5
Source: the Materials Project database
Functional: meta-GGA r2SCAN
Structure: optimized geometry

Computed properties:
ρ, kg/m3: 7132
E_form, eV per atom: -0.6182
Crystal system: orthorhombic
Calculated volume, Å³ per atom: 23.4
Total magnetic moment, μB/f.u.: 21.01
SG: No. 63

Cell lengths 5.894, 5.894, 15.161 Å; angles 90.00, 90.00, 134.66 degrees
Atoms (fractional coordinates):
Eu: 0.091 0.909 0.609
Eu: 0.091 0.909 0.891
Eu: 0.375 0.625 0.750
Eu: 0.625 0.375 0.250
Eu: 0.909 0.091 0.109
Eu: 0.909 0.091 0.391
Ga: 0.206 0.794 0.098
Ga: 0.206 0.794 0.402
Ga: 0.329 0.671 0.250
Ga: 0.383 0.617 0.533
Ga: 0.383 0.617 0.967
Ga: 0.617 0.383 0.033
Ga: 0.617 0.383 0.467
Ga: 0.671 0.329 0.750
Ga: 0.794 0.206 0.598
Ga: 0.794 0.206 0.902